# Cs4HfO4 GGA-PBE optimized geometry
# - final energy (eV/atom) = -5.737
# - mass density (g/cm3) = 5.21
# - volume (Å³/f.u.) = 246.9
data_Cs4HfO4
_cell_length_a 11.976
_cell_length_b 7.465
_cell_length_c 11.899
_cell_angle_alpha 90.00
_cell_angle_beta 111.81
_cell_angle_gamma 90.00
_symmetry_space_group_name_H-M 'P 1 21/c 1'
_symmetry_Int_Tables_number 14
_symmetry_space_group_name_Hall '-P 2ybc'
loop_
_atom_site_label
_atom_site_type_symbol
_atom_site_fract_x
_atom_site_fract_y
_atom_site_fract_z
_atom_site_occupancy
Cs1 Cs 0.062 0.089 0.201 1
Cs2 Cs 0.155 0.616 0.084 1
Cs3 Cs 0.369 0.660 0.892 1
Cs4 Cs 0.426 0.173 0.792 1
Hf1 Hf 0.243 0.125 0.991 1
O1 O 0.087 0.232 0.977 1
O2 O 0.218 0.511 0.342 1
O3 O 0.304 0.529 0.637 1
O4 O 0.360 0.181 0.510 1

# Cd3Bi10O20 GGA-PBE optimized geometry
# - total magnetization (Bohr magnetons per cell) = 7.7
# - final energy (eV/atom) = -5.266
# - mass density (g/cm3) = 8.46
# - volume (Å³/f.u.) = 539.1
data_Cd3Bi10O20
_cell_length_a 14.526
_cell_length_b 10.074
_cell_length_c 10.330
_cell_angle_alpha 90.00
_cell_angle_beta 134.50
_cell_angle_gamma 90.00
_symmetry_space_group_name_H-M 'C 1 2 1'
_symmetry_Int_Tables_number 5
_symmetry_space_group_name_Hall 'C 2y'
loop_
_atom_site_label
_atom_site_type_symbol
_atom_site_fract_x
_atom_site_fract_y
_atom_site_fract_z
_atom_site_occupancy
Cd1 Cd 0.000 0.000 0.000 1
Cd2 Cd 0.186 0.507 0.869 1
Bi1 Bi 0.004 0.178 0.319 1
Bi2 Bi 0.014 0.829 0.703 1
Bi3 Bi 0.166 0.505 0.501 1
Bi4 Bi 0.181 0.684 0.176 1
Bi5 Bi 0.183 0.316 0.189 1
O1 O 0.006 0.629 0.266 1
O2 O 0.010 0.377 0.742 1
O3 O 0.123 0.860 0.245 1
O4 O 0.128 0.246 0.613 1
O5 O 0.128 0.747 0.638 1
O6 O 0.132 0.134 0.010 1
O7 O 0.174 0.176 0.349 1
O8 O 0.177 0.822 0.004 1
O9 O 0.235 0.491 0.376 1
O10 O 0.245 0.003 0.860 1

# Sr3SbP GGA-PBE optimized geometry
# - total magnetization (Bohr magnetons per cell) = 0.0
# - final energy (eV/atom) = -3.844
# - mass density (g/cm3) = 3.65
# - volume (Å³/f.u.) = 189.1
# - offset from the most stable computed form (kJ/mol of formula units) = 0
data_Sr3SbP
_cell_length_a 5.740
_cell_length_b 5.740
_cell_length_c 5.740
_cell_angle_alpha 90.00
_cell_angle_beta 90.00
_cell_angle_gamma 90.00
_symmetry_space_group_name_H-M 'P m -3 m'
_symmetry_Int_Tables_number 221
_symmetry_space_group_name_Hall '-P 4 2 3'
loop_
_atom_site_label
_atom_site_type_symbol
_atom_site_fract_x
_atom_site_fract_y
_atom_site_fract_z
_atom_site_occupancy
Sr1 Sr 0.000 0.000 0.500 1
Sb1 Sb 0.500 0.500 0.500 1
P1 P 0.000 0.000 0.000 1

# K2Nb3Cl7O5 GGA-PBE optimized geometry
# - total magnetization (Bohr magnetons per cell) = 0.0
# - final energy (eV/atom) = -6.124
# - mass density (g/cm3) = 2.84
# - volume (Å³/f.u.) = 401.0
data_K2Nb3Cl7O5
_cell_length_a 17.089
_cell_length_b 8.999
_cell_length_c 11.317
_cell_angle_alpha 90.00
_cell_angle_beta 112.84
_cell_angle_gamma 90.00
_symmetry_space_group_name_H-M 'C 1 2/c 1'
_symmetry_Int_Tables_number 15
_symmetry_space_group_name_Hall '-C 2yc'
loop_
_atom_site_label
_atom_site_type_symbol
_atom_site_fract_x
_atom_site_fract_y
_atom_site_fract_z
_atom_site_occupancy
K1 K 0.204 0.034 0.357 1
Nb1 Nb 0.000 0.463 0.250 1
Nb2 Nb 0.003 0.212 0.973 1
Cl1 Cl 0.000 0.090 0.750 1
Cl2 Cl 0.152 0.214 0.634 1
Cl3 Cl 0.152 0.425 0.339 1
Cl4 Cl 0.157 0.206 0.046 1
O1 O 0.000 0.000 0.000 1
O2 O 0.002 0.287 0.121 1
O3 O 0.002 0.399 0.875 1

# Pb3N2 GGA-PBE optimized geometry
# - total magnetization (Bohr magnetons per cell) = 0.0
# - final energy (eV/atom) = -5.070
# - mass density (g/cm3) = 8.82
# - volume (Å³/f.u.) = 122.2
# - offset from the most stable computed form (kJ/mol of formula units) = 0
data_Pb3N2
_cell_length_a 3.638
_cell_length_b 11.950
_cell_length_c 5.624
_cell_angle_alpha 90.00
_cell_angle_beta 90.00
_cell_angle_gamma 90.00
_symmetry_space_group_name_H-M 'P m m n'
_symmetry_Int_Tables_number 59
loop_
_symmetry_equiv_pos_as_xyz
'x,y,z'
'-x,-y,-z'
'-x+1/2,-y+1/2,z'
'x+1/2,y+1/2,-z'
'x+1/2,-y,-z'
'-x+1/2,y,z'
'-x,y+1/2,-z'
'x,-y+1/2,z'
loop_
_atom_site_label
_atom_site_type_symbol
_atom_site_fract_x
_atom_site_fract_y
_atom_site_fract_z
_atom_site_occupancy
Pb1 Pb 0.250 0.068 0.223 1
Pb2 Pb 0.250 0.750 0.273 1
N1 N 0.250 0.605 0.024 1

# Zn5B3Ir7 GGA-PBE optimized geometry
# - final energy (eV/atom) = -6.164
# - mass density (g/cm3) = 14.67
# - volume (Å³/f.u.) = 192.9
# - offset from the most stable computed form (kJ/mol of formula units) = 0
data_Zn5B3Ir7
_cell_length_a 11.248
_cell_length_b 2.880
_cell_length_c 11.913
_cell_angle_alpha 90.00
_cell_angle_beta 90.00
_cell_angle_gamma 90.00
_symmetry_space_group_name_H-M 'P m m a'
_symmetry_Int_Tables_number 51
_symmetry_space_group_name_Hall '-P 2a 2a'
loop_
_atom_site_label
_atom_site_type_symbol
_atom_site_fract_x
_atom_site_fract_y
_atom_site_fract_z
_atom_site_occupancy
Zn1 Zn 0.049 0.000 0.134 1
Zn2 Zn 0.132 0.000 0.345 1
Zn3 Zn 0.250 0.000 0.808 1
B1 B 0.117 0.000 0.594 1
B2 B 0.250 0.000 0.034 1
Ir1 Ir 0.000 0.500 0.500 1
Ir2 Ir 0.078 0.500 0.722 1
Ir3 Ir 0.125 0.500 0.961 1
Ir4 Ir 0.250 0.500 0.179 1
Ir5 Ir 0.250 0.500 0.527 1

# RbCuPdF5 GGA-PBE optimized geometry
# - total magnetization (Bohr magnetons per cell) = 4.0
# - final energy (eV/atom) = -4.225
# - mass density (g/cm3) = 4.56
# - volume (Å³/f.u.) = 127.6
data_RbCuPdF5
_cell_length_a 6.320
_cell_length_b 7.376
_cell_length_c 10.951
_cell_angle_alpha 90.00
_cell_angle_beta 90.00
_cell_angle_gamma 90.00
_symmetry_space_group_name_H-M 'P n m a'
_symmetry_Int_Tables_number 62
_symmetry_space_group_name_Hall '-P 2ac 2n'
loop_
_atom_site_label
_atom_site_type_symbol
_atom_site_fract_x
_atom_site_fract_y
_atom_site_fract_z
_atom_site_occupancy
Rb1 Rb 0.025 0.250 0.144 1
Cu1 Cu 0.000 0.000 0.500 1
Pd1 Pd 0.196 0.250 0.794 1
F1 F 0.033 0.250 0.438 1
F2 F 0.169 0.054 0.671 1
F3 F 0.217 0.062 0.926 1

# CdPdF6 GGA-PBE optimized geometry
# - final energy (eV/atom) = -3.804
# - mass density (g/cm3) = 4.73
# - volume (Å³/f.u.) = 116.9
data_CdPdF6
_cell_length_a 5.2649
_cell_length_b 5.2649
_cell_length_c 14.6131
_cell_angle_alpha 90.00
_cell_angle_beta 90.00
_cell_angle_gamma 120.00
_symmetry_space_group_name_H-M 'R -3'
_symmetry_Int_Tables_number 148
_symmetry_space_group_name_Hall '-R 3'
loop_
_atom_site_label
_atom_site_type_symbol
_atom_site_fract_x
_atom_site_fract_y
_atom_site_fract_z
_atom_site_occupancy
Cd1 Cd 0.0000 0.0000 0.0000 1
Pd1 Pd 0.0000 0.0000 0.5000 1
F1 F 0.0040 0.3036 0.4221 1

| no. | formation energy (eV/atom) |
| --- | --- |
| 1 | -2.339 |
| 2 | -1.421 |
| 3 | -0.922 |
| 4 | -2.196 |
| 5 | 0.347 |
| 6 | -0.283 |
| 7 | -2.035 |
| 8 | -1.951 |